# GGA-PBE Li3BN2, relaxed
# E: -0.2089 hartree per atom
# Energy of formation: -0.959 eV per atom
data_Li3BN2
_chemical_formula_sum 'Li24 B8 N16'
_space_group_name_H-M_alt 'I 41/a m d'
_space_group_IT_number 141
_cell_length_a 6.632
_cell_length_b 6.632
_cell_length_c 10.369
_cell_angle_alpha 90.00
_cell_angle_beta 90.00
_cell_angle_gamma 90.00
loop_
_space_group_symop_operation_xyz
'x,y,z'
'-x,-y,-z'
'-y+1/4,x+3/4,z+1/4'
'y+1/4,-x+3/4,-z+1/4'
'-x+1/2,-y,z+1/2'
'x+1/2,y,-z+1/2'
'y+1/4,-x+1/4,z+3/4'
'-y+1/4,x+1/4,-z+3/4'
'x,-y,-z'
'-x,y,z'
'-y+1/4,-x+1/4,-z+3/4'
'y+1/4,x+1/4,z+3/4'
'-x+1/2,y,-z+1/2'
'x+1/2,-y,z+1/2'
'y+1/4,x+3/4,-z+1/4'
'-y+1/4,-x+3/4,z+1/4'
'x+1/2,y+1/2,z+1/2'
'-x+1/2,-y+1/2,-z+1/2'
'-y+3/4,x+1/4,z+3/4'
'y+3/4,-x+1/4,-z+3/4'
'-x,-y+1/2,z'
'x,y+1/2,-z'
'y+3/4,-x+3/4,z+1/4'
'-y+3/4,x+3/4,-z+1/4'
'x+1/2,-y+1/2,-z+1/2'
'-x+1/2,y+1/2,z+1/2'
'-y+3/4,-x+3/4,-z+1/4'
'y+3/4,x+3/4,z+1/4'
'-x,y+1/2,-z'
'x,-y+1/2,z'
'y+3/4,x+1/4,-z+3/4'
'-y+3/4,-x+1/4,z+3/4'
loop_
_atom_site_label
_atom_site_type_symbol
_atom_site_fract_x
_atom_site_fract_y
_atom_site_fract_z
Li1 Li 0.000 0.250 0.001
Li2 Li 0.224 0.026 0.375
B1 B 0.000 0.250 0.228
N1 N 0.000 0.047 0.223